(1)
VASP calculation (GGA+U) on a relaxed La3MoO7 crystal.

abc: 7.7252 7.8091 11.1245
angles: 90.00 90.00 90.00
With the nearest neighbours (Å) after each atom.
Space group P2_12_12_1 (No. 19)
Symmetry-distinct sites (fractional):
1 La 0.0284 0.0082 0.2462 (multiplicity 4)  6 O 2.44-2.65
2 La 0.1972 0.2532 0.5187 (multiplicity 4)  6 O 2.34-2.56
3 La 0.2064 0.2468 0.9673 (multiplicity 4)  6 O 2.37-2.58
4 Mo 0.0011 0.5001 0.7494 (multiplicity 4)  5 O 1.90-2.08
5 O 0.0090 0.7601 0.3810 (multiplicity 4)  4 La 2.37-2.45
6 O 0.0357 0.7475 0.1172 (multiplicity 4)  4 La 2.34-2.49
7 O 0.0784 0.2539 0.7430 (multiplicity 4)  2 Mo 2.01-2.08
8 O 0.1332 0.5482 0.6092 (multiplicity 4)  1 Mo 1.90
9 O 0.1763 0.9653 0.6259 (multiplicity 4)  1 Mo 1.97
10 O 0.1935 0.5306 0.8699 (multiplicity 4)  1 Mo 2.02
11 O 0.2121 0.9659 0.8702 (multiplicity 4)  1 Mo 2.13

Summary:
polymorph energy (0 for the lowest one)	0.00	kJ per mole of atoms
total moment	1.000	μB per formula unit
energy of formation from the pure elements	-3.376	eV/atom

***

(2)
VASP calculation (GGA+U) on a relaxed La2MoO5 crystal.

abc: 9.0260 9.0260 6.0980
angles: 90.00 90.00 90.00
With the nearest neighbours (Å) after each atom.
Space group I4/m (No. 87)
Symmetry-distinct sites (fractional):
1 La 0.1079 0.3216 0.0000 (multiplicity 8)  8 O 2.42-2.61
2 Mo 0.0000 0.0000 0.2956 (multiplicity 4)  4 O 1.95
3 O 0.0000 0.5000 0.2500 (multiplicity 4)  4 La 2.42
4 O 0.0950 0.8105 0.2346 (multiplicity 16)  1 Mo 1.95

Summary:
total moment	1.002	μB per formula unit
energy of formation from the pure elements	-3.126	eV/atom

***

(3)
VASP calculation (GGA+U) on a relaxed LaMoO5 crystal.

abc: 5.5855 13.0496 7.2698
angles: 90.00 115.40 90.00
With the nearest neighbours (Å) after each atom.
Space group P2_1/c (No. 14)
Symmetry-distinct sites (fractional):
1 La 0.1547 0.0629 0.2833 (multiplicity 4)  8 O 2.37-2.65
2 Mo 0.4219 0.1343 0.8580 (multiplicity 4)  4 O 1.77-1.85
3 O 0.0359 0.5535 0.9817 (multiplicity 4)  1 O 1.51
4 O 0.2152 0.0613 0.9536 (multiplicity 4)  1 Mo 1.85
5 O 0.2741 0.6555 0.4277 (multiplicity 4)  1 Mo 1.77
6 O 0.2856 0.2417 0.2731 (multiplicity 4)  1 Mo 1.78
7 O 0.4906 0.5725 0.8317 (multiplicity 4)  1 Mo 1.84

Summary:
total moment	0.000	μB per formula unit
energy of formation from the pure elements	-2.493	eV/atom

***

(4)
VASP calculation (GGA+U) on a relaxed La2Mo3O12 crystal.

abc: 7.6718 11.9660 12.1570
angles: 90.00 108.37 90.00
With the nearest neighbours (Å) after each atom.
Space group C2/c (No. 15)
Symmetry-distinct sites (fractional):
1 La 0.1689 0.1241 0.0902 (multiplicity 8)  8 O 2.48-2.64
2 Mo 0.0000 0.1257 0.7500 (multiplicity 4)  4 O 1.78-1.84
3 Mo 0.1639 0.3752 0.5778 (multiplicity 8)  4 O 1.78-1.86
4 O 0.0181 0.4515 0.8934 (multiplicity 8)  1 Mo 1.79
5 O 0.0558 0.2802 0.4635 (multiplicity 8)  1 Mo 1.78
6 O 0.1215 0.2052 0.8808 (multiplicity 8)  1 Mo 1.84
7 O 0.1545 0.0417 0.4557 (multiplicity 8)  1 Mo 1.86
8 O 0.1630 0.0382 0.7162 (multiplicity 8)  1 Mo 1.78
9 O 0.2293 0.1980 0.2895 (multiplicity 8)  1 Mo 1.79

Summary:
polymorph energy (0 for the lowest one)	0.36	kJ per mole of atoms
energy of formation from the pure elements	-2.651	eV/atom

***

(5)
VASP calculation (GGA+U) on a relaxed La4Mo2O11 crystal.

abc: 13.2219 13.2219 5.7638
angles: 90.00 90.00 90.00
With the nearest neighbours (Å) after each atom.
Space group P4_2/n (No. 86, origin choice 2)
Symmetry-distinct sites (fractional):
1 La 0.1108 0.6992 0.0887 (multiplicity 8)  6 O 2.35-2.62
2 La 0.1207 0.1790 0.4972 (multiplicity 8)  7 O 2.42-2.69
3 Mo 0.0302 0.6024 0.5852 (multiplicity 8)  5 O 1.90-2.09
4 O 0.0017 0.0755 0.1675 (multiplicity 8)  2 Mo 1.99-2.09
5 O 0.0297 0.2986 0.1940 (multiplicity 8)  1 Mo 1.99
6 O 0.0427 0.3317 0.6734 (multiplicity 8)  1 Mo 1.98
7 O 0.0532 0.8742 0.3042 (multiplicity 8)  1 Mo 1.90
8 O 0.1532 0.7009 0.4955 (multiplicity 8)  1 Mo 2.15, 1 La 2.35
9 O 0.2500 0.2500 0.2500 (multiplicity 2)  4 La 2.42
10 O 0.2500 0.2500 0.7500 (multiplicity 2)  4 La 2.43

Summary:
total moment	2.000	μB per formula unit
energy of formation from the pure elements	-3.193	eV/atom

***

(6)
VASP calculation (GGA+U) on a relaxed LaMo8O14 crystal.

abc: 8.2794 8.3007 28.8633
angles: 90.84 90.93 97.72
With the nearest neighbours (Å) after each atom.
Space group P1 (No. 1)
Symmetry-distinct sites (fractional):
1 La 0.0000 0.0000 0.0000 (multiplicity 1)  3 O 2.28-2.49
2 La 0.0013 0.9969 0.3349 (multiplicity 1)  4 O 2.31-2.54
3 La 0.0122 0.9845 0.6687 (multiplicity 1)  5 O 2.36-2.64
4 La 0.4872 0.2922 0.8534 (multiplicity 1)  1 O 2.23
5 La 0.5109 0.3155 0.1896 (multiplicity 1)  2 O 2.26-2.33
6 La 0.5451 0.3592 0.5185 (multiplicity 1)  3 O 2.27-2.46
7 Mo 0.0055 0.4858 0.8169 (multiplicity 1)  6 O 1.96-2.18
8 Mo 0.0090 0.4903 0.1498 (multiplicity 1)  6 O 2.11-2.22
9 Mo 0.0103 0.4907 0.4835 (multiplicity 1)  6 O 2.11-2.20
10 Mo 0.0992 0.1084 0.5572 (multiplicity 1)  4 O 1.95-2.07
11 Mo 0.1003 0.1008 0.8911 (multiplicity 1)  5 O 2.09-2.18
12 Mo 0.1008 0.0964 0.2248 (multiplicity 1)  5 O 2.11-2.18
13 Mo 0.1361 0.8727 0.4677 (multiplicity 1)  5 O 2.10-2.20
14 Mo 0.1369 0.8763 0.8009 (multiplicity 1)  5 O 2.09-2.20
15 Mo 0.1405 0.8760 0.1347 (multiplicity 1)  5 O 2.08-2.19
16 Mo 0.2058 0.4655 0.6301 (multiplicity 1)  1 O 1.87
17 Mo 0.2079 0.4622 0.2955 (multiplicity 1)  1 O 1.86
18 Mo 0.2167 0.4610 0.9657 (multiplicity 1)  5 O 2.04-2.21
19 Mo 0.2477 0.2463 0.0636 (multiplicity 1)  5 O 2.13-2.16
20 Mo 0.2486 0.2461 0.7308 (multiplicity 1)  5 O 2.12-2.20
21 Mo 0.2505 0.2435 0.3981 (multiplicity 1)  5 O 2.12-2.18
22 Mo 0.3471 0.8296 0.5637 (multiplicity 1)  6 O 2.00-2.17
23 Mo 0.3502 0.8294 0.2291 (multiplicity 1)  6 O 2.01-2.18
24 Mo 0.3507 0.8296 0.8946 (multiplicity 1)  6 O 2.12-2.24
25 Mo 0.3723 0.6219 0.3974 (multiplicity 1)  5 O 1.95-2.14
26 Mo 0.3730 0.6240 0.0621 (multiplicity 1)  5 O 1.99-2.11
27 Mo 0.3725 0.6240 0.7301 (multiplicity 1)  5 O 1.97-2.16
28 Mo 0.4661 0.2099 0.6369 (multiplicity 1)  5 O 2.11-2.19
29 Mo 0.4677 0.2077 0.3044 (multiplicity 1)  5 O 2.11-2.19
30 Mo 0.4796 0.2039 0.9707 (multiplicity 1)  5 O 1.99-2.16
31 Mo 0.5072 0.9906 0.0599 (multiplicity 1)  6 O 2.11-2.26
32 Mo 0.5089 0.9860 0.3932 (multiplicity 1)  6 O 2.10-2.24
33 Mo 0.5089 0.9866 0.7266 (multiplicity 1)  6 O 2.11-2.25
34 Mo 0.5982 0.5982 0.9730 (multiplicity 1)  5 O 2.00-2.18
35 Mo 0.6032 0.5997 0.3064 (multiplicity 1)  5 O 1.99-2.18
36 Mo 0.6025 0.6004 0.6401 (multiplicity 1)  5 O 1.99-2.17
37 Mo 0.6224 0.3693 0.3953 (multiplicity 1)  5 O 2.11-2.18
38 Mo 0.6220 0.3715 0.7289 (multiplicity 1)  5 O 2.11-2.17
39 Mo 0.6237 0.3725 0.0628 (multiplicity 1)  5 O 2.13-2.16
40 Mo 0.7178 0.9730 0.5630 (multiplicity 1)  5 O 1.99-2.19
41 Mo 0.7218 0.9721 0.2307 (multiplicity 1)  5 O 2.00-2.17
42 Mo 0.7240 0.9727 0.8953 (multiplicity 1)  5 O 1.99-2.22
43 Mo 0.7315 0.7377 0.1406 (multiplicity 1)  5 O 2.14-2.24
44 Mo 0.7324 0.7389 0.4725 (multiplicity 1)  5 O 2.10-2.22
45 Mo 0.7325 0.7370 0.8060 (multiplicity 1)  5 O 2.11-2.25
46 Mo 0.8721 0.1153 0.4664 (multiplicity 1)  5 O 2.08-2.17
47 Mo 0.8729 0.1150 0.7992 (multiplicity 1)  5 O 2.08-2.18
48 Mo 0.8750 0.1151 0.1328 (multiplicity 1)  5 O 1.99-2.16
49 Mo 0.9552 0.7098 0.5678 (multiplicity 1)  5 O 2.04-2.20
50 Mo 0.9574 0.7071 0.2343 (multiplicity 1)  5 O 2.05-2.21
51 Mo 0.9606 0.6959 0.9034 (multiplicity 1)  2 O 1.86-2.06
52 Mo 0.9884 0.5018 0.7162 (multiplicity 1)  6 O 2.09-2.23
53 Mo 0.9886 0.5058 0.0493 (multiplicity 1)  6 O 2.09-2.25
54 Mo 0.9899 0.5000 0.3827 (multiplicity 1)  6 O 2.10-2.25
55 O 0.0146 0.5055 0.9293 (multiplicity 1)  2 Mo 1.86-2.04
56 O 0.0199 0.5047 0.5966 (multiplicity 1)  2 Mo 1.87-2.04
57 O 0.0218 0.5001 0.2628 (multiplicity 1)  2 Mo 1.86-2.05
58 O 0.0369 0.2568 0.1735 (multiplicity 1)  3 Mo 2.01-2.11
59 O 0.0441 0.2642 0.5115 (multiplicity 1)  3 Mo 1.95-2.16
60 O 0.0445 0.2760 0.8423 (multiplicity 1)  3 Mo 1.96-2.18
61 O 0.0638 0.0614 0.0896 (multiplicity 1)  3 Mo 2.11-2.18
62 O 0.0662 0.0565 0.4221 (multiplicity 1)  3 Mo 2.16-2.17
63 O 0.0676 0.0571 0.7544 (multiplicity 1)  3 Mo 2.15-2.18
64 O 0.0685 0.2981 0.0133 (multiplicity 1)  3 Mo 2.15-2.21
65 O 0.0763 0.2998 0.3454 (multiplicity 1)  3 Mo 2.17-2.19
66 O 0.0774 0.3033 0.6787 (multiplicity 1)  3 Mo 2.15-2.17
67 O 0.1311 0.8886 0.9324 (multiplicity 1)  3 Mo 2.14-2.24
68 O 0.1374 0.8930 0.5994 (multiplicity 1)  3 Mo 2.15-2.23
69 O 0.1395 0.8882 0.2669 (multiplicity 1)  3 Mo 2.17-2.18
70 O 0.1476 0.6892 0.8536 (multiplicity 1)  4 Mo 2.14-2.23
71 O 0.1601 0.6911 0.5212 (multiplicity 1)  4 Mo 2.15-2.20
72 O 0.1625 0.6906 0.1869 (multiplicity 1)  4 Mo 2.15-2.21
73 O 0.1802 0.6418 0.6822 (multiplicity 1)  3 Mo 2.10-2.11
74 O 0.1808 0.6462 0.0159 (multiplicity 1)  3 Mo 2.09-2.15
75 O 0.1873 0.4667 0.7655 (multiplicity 1)  4 Mo 2.15-2.21
76 O 0.1868 0.6315 0.3485 (multiplicity 1)  3 Mo 2.08-2.11
77 O 0.1892 0.4613 0.4315 (multiplicity 1)  4 Mo 2.14-2.21
78 O 0.1948 0.4666 0.0971 (multiplicity 1)  4 Mo 2.11-2.24
79 O 0.2752 0.2740 0.5901 (multiplicity 1)  3 Mo 2.07-2.19
80 O 0.2770 0.0161 0.5210 (multiplicity 1)  3 Mo 2.04-2.16
81 O 0.2815 0.2728 0.2559 (multiplicity 1)  3 Mo 2.09-2.19
82 O 0.2843 0.2585 0.9254 (multiplicity 1)  3 Mo 2.09-2.17
83 O 0.2920 0.0326 0.8500 (multiplicity 1)  3 Mo 2.13-2.24
84 O 0.2953 0.0223 0.1853 (multiplicity 1)  3 Mo 2.14-2.17
85 O 0.3053 0.0632 0.6843 (multiplicity 1)  3 Mo 2.12-2.23
86 O 0.3058 0.0610 0.3511 (multiplicity 1)  3 Mo 2.12-2.22
87 O 0.3083 0.0710 0.0144 (multiplicity 1)  3 Mo 2.12-2.26
88 O 0.3404 0.8194 0.4315 (multiplicity 1)  3 Mo 1.95-2.16
89 O 0.3416 0.8217 0.7656 (multiplicity 1)  3 Mo 1.97-2.16
90 O 0.3453 0.8284 0.0988 (multiplicity 1)  3 Mo 2.03-2.12
91 O 0.3860 0.6321 0.5997 (multiplicity 1)  3 Mo 2.01-2.17
92 O 0.3874 0.6321 0.2654 (multiplicity 1)  3 Mo 2.01-2.18
93 O 0.3976 0.6284 0.9346 (multiplicity 1)  3 Mo 2.03-2.12
94 O 0.4644 0.2036 0.7695 (multiplicity 1)  3 Mo 2.15-2.25
95 O 0.4640 0.2052 0.1016 (multiplicity 1)  3 Mo 2.13-2.21
96 O 0.4669 0.2028 0.4360 (multiplicity 1)  3 Mo 2.14-2.24
97 O 0.5011 0.0021 0.5962 (multiplicity 1)  3 Mo 2.00-2.13
98 O 0.5034 0.0054 0.2622 (multiplicity 1)  3 Mo 2.02-2.12
99 O 0.5169 0.0051 0.9317 (multiplicity 1)  3 Mo 2.04-2.13
100 O 0.5255 0.7609 0.6871 (multiplicity 1)  3 Mo 2.04-2.20
101 O 0.5274 0.7624 0.0222 (multiplicity 1)  3 Mo 1.99-2.20
102 O 0.5304 0.7599 0.3535 (multiplicity 1)  3 Mo 2.04-2.21
103 O 0.5544 0.5564 0.4423 (multiplicity 1)  3 Mo 2.10-2.18
104 O 0.5542 0.5626 0.7735 (multiplicity 1)  3 Mo 2.06-2.17
105 O 0.5548 0.5651 0.1053 (multiplicity 1)  3 Mo 2.05-2.14
106 O 0.5702 0.8031 0.5277 (multiplicity 1)  3 Mo 1.99-2.20
107 O 0.5718 0.8055 0.1940 (multiplicity 1)  3 Mo 2.01-2.16
108 O 0.5766 0.8051 0.8596 (multiplicity 1)  3 Mo 1.99-2.17
109 O 0.5944 0.3831 0.9339 (multiplicity 1)  2 Mo 1.99-2.10
110 O 0.5984 0.3975 0.2644 (multiplicity 1)  2 Mo 2.05-2.15
111 O 0.5999 0.4015 0.5982 (multiplicity 1)  2 Mo 2.03-2.15
112 O 0.6463 0.1675 0.6862 (multiplicity 1)  3 Mo 2.11-2.13
113 O 0.6485 0.1648 0.3532 (multiplicity 1)  3 Mo 2.11-2.12
114 O 0.6533 0.1681 0.0185 (multiplicity 1)  3 Mo 2.03-2.16
115 O 0.6966 0.1509 0.5190 (multiplicity 1)  2 Mo 1.99-2.16
116 O 0.6969 0.1506 0.8511 (multiplicity 1)  2 Mo 2.00-2.15, 1 La 2.23
117 O 0.7029 0.1477 0.1835 (multiplicity 1)  2 Mo 2.03-2.10, 1 La 2.26
118 O 0.7126 0.9515 0.1002 (multiplicity 1)  3 Mo 1.99-2.16
119 O 0.7195 0.9364 0.7625 (multiplicity 1)  3 Mo 2.08-2.11
120 O 0.7193 0.9377 0.4292 (multiplicity 1)  3 Mo 2.08-2.10
121 O 0.7654 0.5329 0.0174 (multiplicity 1)  3 Mo 2.00-2.13
122 O 0.7658 0.5322 0.6842 (multiplicity 1)  3 Mo 1.99-2.13
123 O 0.7666 0.5289 0.3503 (multiplicity 1)  3 Mo 1.99-2.13
124 O 0.7716 0.7826 0.6105 (multiplicity 1)  3 Mo 2.12-2.19
125 O 0.7727 0.7809 0.2767 (multiplicity 1)  3 Mo 2.12-2.17
126 O 0.7798 0.7776 0.9422 (multiplicity 1)  3 Mo 2.06-2.22
127 O 0.7988 0.5518 0.5193 (multiplicity 1)  3 Mo 2.16-2.19
128 O 0.8019 0.5542 0.1853 (multiplicity 1)  3 Mo 2.14-2.17
129 O 0.8159 0.5520 0.8512 (multiplicity 1)  3 Mo 2.00-2.20
130 O 0.8437 0.3436 0.4342 (multiplicity 1)  4 Mo 2.16-2.25
131 O 0.8453 0.3421 0.1000 (multiplicity 1)  4 Mo 2.16-2.25
132 O 0.8453 0.3425 0.7666 (multiplicity 1)  4 Mo 2.16-2.23
133 O 0.8975 0.1041 0.9349 (multiplicity 1)  2 Mo 2.01-2.12
134 O 0.8980 0.1017 0.2689 (multiplicity 1)  2 Mo 2.00-2.13
135 O 0.9099 0.0938 0.6008 (multiplicity 1)  2 Mo 2.02-2.05
136 O 0.9560 0.6851 0.4372 (multiplicity 1)  4 Mo 2.17-2.23
137 O 0.9561 0.6894 0.1038 (multiplicity 1)  4 Mo 2.19-2.24
138 O 0.9599 0.6817 0.7711 (multiplicity 1)  4 Mo 2.18-2.25

Summary:
polymorph energy (0 for the lowest one)	2.18	kJ per mole of atoms
total moment	21.000	μB per formula unit
energy of formation from the pure elements	-1.843	eV/atom

***

(7)
VASP calculation (GGA+U) on a relaxed LaMo5O8 crystal.

abc: 8.2868 9.3681 10.4575
angles: 90.00 111.29 90.00
With the nearest neighbours (Å) after each atom.
Space group P2_1/c (No. 14)
Symmetry-distinct sites (fractional):
1 La 0.2305 0.0236 0.4852 (multiplicity 4)  5 O 2.41-2.69
2 Mo 0.1000 0.1255 0.8127 (multiplicity 4)  5 O 2.09-2.16
3 Mo 0.1128 0.6390 0.4846 (multiplicity 4)  5 O 2.09-2.17
4 Mo 0.2966 0.6375 0.2913 (multiplicity 4)  5 O 2.12-2.13
5 Mo 0.3094 0.1191 0.1307 (multiplicity 4)  5 O 2.11-2.19
6 Mo 0.4938 0.1389 0.9142 (multiplicity 4)  4 O 2.11-2.15
7 O 0.0921 0.0002 0.1438 (multiplicity 4)  4 Mo 2.16-2.17
8 O 0.0932 0.5140 0.1498 (multiplicity 4)  2 Mo 2.13
9 O 0.1058 0.2443 0.9919 (multiplicity 4)  3 Mo 2.13-2.16
10 O 0.1214 0.7189 0.8308 (multiplicity 4)  3 Mo 2.09-2.13
11 O 0.2905 0.2210 0.3049 (multiplicity 4)  3 Mo 2.11-2.16
12 O 0.3116 0.7289 0.1089 (multiplicity 4)  3 Mo 2.09-2.13
13 O 0.4650 0.0030 0.7415 (multiplicity 4)  3 Mo 2.12-2.19
14 O 0.4873 0.2401 0.5865 (multiplicity 4)  3 Mo 2.12-2.15

Summary:
total moment	15.001	μB per formula unit
energy of formation from the pure elements	-1.760	eV/atom

***

Number 1: DFT total energy -8.13 eV/atom. Number 2: DFT total energy -7.98 eV/atom. Number 3: DFT total energy -7.49 eV/atom. Number 4: DFT total energy -7.59 eV/atom. Number 5: DFT total energy -8.01 eV/atom. Number 6: DFT total energy -7.31 eV/atom. Number 7: DFT total energy -7.28 eV/atom.